Record 1
## Sr2FeCuPb2O6 (PBE with a Hubbard U)

Data for an optimized crystal structure of Sr2FeCuPb2O6.

## Properties
- Theoretical density: 6.92 g/cm3

Unit cell a=12.3356 b=5.6350 c=5.5570 alpha=90.00 beta=90.00 gamma=90.00
Space group Pnc2 (No. 30)
Unique sites:
Sr 0.1419 0.0018 0.0000 (multiplicity 4)
Fe 0.0000 0.0000 0.4974 (multiplicity 2)
Cu 0.5000 0.0000 0.0435 (multiplicity 2)
Pb 0.3539 0.0107 0.4958 (multiplicity 4)
O 0.0011 0.2492 0.2462 (multiplicity 4)
O 0.1760 0.5055 0.9991 (multiplicity 4)
O 0.3544 0.0828 0.0619 (multiplicity 4)

Record 2
## MgCoO2 (PBE with a Hubbard U)

Data for an optimized crystal structure of MgCoO2.

## Properties
- Theoretical density: 4.00 g/cm3

Unit cell a=2.9336 b=8.1572 c=8.2384 alpha=85.85 beta=80.38 gamma=80.42
Space group P1 (No. 1)
Unique sites:
Mg 0.0000 0.0000 0.0000 (multiplicity 1)
Mg 0.1944 0.1577 0.5229 (multiplicity 1)
Mg 0.3993 0.3631 0.8590 (multiplicity 1)
Mg 0.7965 0.7866 0.6663 (multiplicity 1)
Co 0.0078 0.4774 0.5291 (multiplicity 1)
Co 0.1898 0.6749 0.0027 (multiplicity 1)
Co 0.4089 0.8719 0.3394 (multiplicity 1)
Co 0.7882 0.3122 0.1727 (multiplicity 1)
O 0.1963 0.3356 0.3327 (multiplicity 1)
O 0.3970 0.6403 0.5962 (multiplicity 1)
O 0.4032 0.1757 0.0269 (multiplicity 1)
O 0.5777 0.2935 0.6347 (multiplicity 1)
O 0.6241 0.8497 0.8934 (multiplicity 1)
O 0.7900 0.4941 0.9629 (multiplicity 1)
O 0.7930 0.9742 0.4946 (multiplicity 1)
O 0.9971 0.8239 0.1928 (multiplicity 1)

Record 3
## Ca4TiMn3O12 (PBE with a Hubbard U)

Data for an optimized crystal structure of Ca4TiMn3O12.

## Properties
- Theoretical density: 4.24 g/cm3

Unit cell a=5.3541 b=15.2089 c=10.8609 alpha=90.00 beta=90.01 gamma=90.00
Space group Pm (No. 6)
Unique sites:
Ca 0.0000 0.0000 0.0000 (multiplicity 1)
Ca 0.9998 0.5000 0.0016 (multiplicity 1)
Ca 0.0010 0.5000 0.4972 (multiplicity 1)
Ca 0.0015 0.0000 0.5001 (multiplicity 1)
Ca 0.0175 0.2487 0.4542 (multiplicity 2)
Ca 0.0182 0.2492 0.9566 (multiplicity 2)
Ca 0.5001 0.2482 0.7063 (multiplicity 2)
Ca 0.4998 0.2501 0.2041 (multiplicity 2)
Ca 0.5162 0.0000 0.7498 (multiplicity 1)
Ca 0.5175 0.0000 0.2503 (multiplicity 1)
Ca 0.5166 0.5000 0.7515 (multiplicity 1)
Ca 0.5184 0.5000 0.2468 (multiplicity 1)
Ti 0.0102 0.3743 0.7284 (multiplicity 2)
Ti 0.5080 0.3743 0.4760 (multiplicity 2)
Mn 0.0064 0.1242 0.7279 (multiplicity 2)
Mn 0.0093 0.1250 0.2274 (multiplicity 2)
Mn 0.0123 0.3748 0.2259 (multiplicity 2)
Mn 0.5087 0.1250 0.9775 (multiplicity 2)
Mn 0.5110 0.1242 0.4779 (multiplicity 2)
Mn 0.5124 0.3752 0.9790 (multiplicity 2)
O 0.0833 0.5000 0.7183 (multiplicity 1)
O 0.0871 0.0000 0.2175 (multiplicity 1)
O 0.0879 0.0000 0.7177 (multiplicity 1)
O 0.0900 0.5000 0.2171 (multiplicity 1)
O 0.2136 0.3545 0.0801 (multiplicity 2)
O 0.2149 0.1452 0.0814 (multiplicity 2)
O 0.2153 0.1456 0.5818 (multiplicity 2)
O 0.2160 0.3553 0.5822 (multiplicity 2)
O 0.2964 0.3556 0.3296 (multiplicity 2)
O 0.3020 0.1454 0.8316 (multiplicity 2)
O 0.3031 0.1456 0.3315 (multiplicity 2)
O 0.3048 0.3561 0.8344 (multiplicity 2)
O 0.4297 0.0000 0.4675 (multiplicity 1)
O 0.4304 0.0000 0.9676 (multiplicity 1)
O 0.4296 0.5000 0.9675 (multiplicity 1)
O 0.4337 0.5000 0.4683 (multiplicity 1)
O 0.5829 0.2476 0.4862 (multiplicity 2)
O 0.5886 0.2499 0.9875 (multiplicity 2)
O 0.7139 0.3954 0.1246 (multiplicity 2)
O 0.7146 0.1041 0.6239 (multiplicity 2)
O 0.7148 0.1047 0.1234 (multiplicity 2)
O 0.7162 0.3945 0.6222 (multiplicity 2)
O 0.7968 0.3942 0.8748 (multiplicity 2)
O 0.8023 0.1044 0.8738 (multiplicity 2)
O 0.8034 0.1045 0.3735 (multiplicity 2)
O 0.8044 0.3940 0.3706 (multiplicity 2)
O 0.9299 0.2499 0.2373 (multiplicity 2)
O 0.9344 0.2476 0.7362 (multiplicity 2)

Record 4
## Sr2VWO6 (PBE with a Hubbard U)

Data for an optimized crystal structure of Sr2VWO6.

## Properties
- Theoretical density: 6.36 g/cm3

Unit cell a=8.0846 b=8.0846 c=8.0846 alpha=90.00 beta=90.00 gamma=90.00
Space group Fm-3m (No. 225)
Unique sites:
Sr 0.2500 0.2500 0.2500 (multiplicity 8)
V 0.0000 0.0000 0.0000 (multiplicity 4)
W 0.0000 0.0000 0.5000 (multiplicity 4)
O 0.0000 0.0000 0.2585 (multiplicity 24)

Record 5
## LiNiP3O9 (PBE with a Hubbard U)

Data for an optimized crystal structure of LiNiP3O9.

## Properties
- Theoretical density: 2.92 g/cm3

Unit cell a=9.3603 b=9.3803 c=9.6328 alpha=104.66 beta=109.76 gamma=108.75
Space group P-1 (No. 2)
Unique sites:
Li 0.0672 0.1526 0.4961 (multiplicity 2)
Li 0.1542 0.8608 0.3261 (multiplicity 2)
Ni 0.2289 0.2507 0.2761 (multiplicity 2)
Ni 0.2965 0.5969 0.2117 (multiplicity 2)
P 0.0896 0.6877 0.9248 (multiplicity 2)
P 0.1514 0.0139 0.8997 (multiplicity 2)
P 0.2136 0.4438 0.8399 (multiplicity 2)
P 0.3416 0.0730 0.7086 (multiplicity 2)
P 0.3934 0.4974 0.6468 (multiplicity 2)
P 0.4375 0.8079 0.5919 (multiplicity 2)
O 0.0158 0.0614 0.2523 (multiplicity 2)
O 0.0742 0.2859 0.7024 (multiplicity 2)
O 0.0981 0.3836 0.1901 (multiplicity 2)
O 0.1396 0.6915 0.0927 (multiplicity 2)
O 0.1676 0.5948 0.8319 (multiplicity 2)
O 0.1750 0.1366 0.0471 (multiplicity 2)
O 0.1776 0.0031 0.5565 (multiplicity 2)
O 0.1895 0.8680 0.9377 (multiplicity 2)
O 0.2510 0.3445 0.5034 (multiplicity 2)
O 0.2728 0.4515 0.0068 (multiplicity 2)
O 0.3061 0.0963 0.8636 (multiplicity 2)
O 0.3198 0.7680 0.4197 (multiplicity 2)
O 0.3644 0.6525 0.6325 (multiplicity 2)
O 0.3754 0.1334 0.3556 (multiplicity 2)
O 0.3770 0.5002 0.8063 (multiplicity 2)
O 0.4078 0.9340 0.7130 (multiplicity 2)
O 0.4265 0.4707 0.3224 (multiplicity 2)
O 0.4825 0.2310 0.7484 (multiplicity 2)

Record 6
## Li9Mn2Co5O16 (PBE with a Hubbard U)

Data for an optimized crystal structure of Li9Mn2Co5O16.

## Properties
- Theoretical density: 4.15 g/cm3

Unit cell a=2.9396 b=9.8062 c=10.2386 alpha=78.30 beta=89.57 gamma=89.01
Space group P1 (No. 1)
Unique sites:
Li 0.0000 0.0000 0.0000 (multiplicity 1)
Li 0.0000 0.2485 0.1278 (multiplicity 1)
Li 0.0060 0.7582 0.3776 (multiplicity 1)
Li 0.0178 0.7684 0.8813 (multiplicity 1)
Li 0.4912 0.4946 0.0074 (multiplicity 1)
Li 0.5023 0.5051 0.5013 (multiplicity 1)
Li 0.5046 0.0058 0.7640 (multiplicity 1)
Li 0.5115 0.0118 0.2435 (multiplicity 1)
Li 0.9885 0.2455 0.6294 (multiplicity 1)
Mn 0.0036 0.5021 0.7567 (multiplicity 1)
Mn 0.5180 0.7588 0.1258 (multiplicity 1)
Co 0.0022 0.0051 0.4979 (multiplicity 1)
Co 0.0029 0.5055 0.2581 (multiplicity 1)
Co 0.4925 0.2567 0.3789 (multiplicity 1)
Co 0.4986 0.2349 0.8936 (multiplicity 1)
Co 0.5050 0.7590 0.6257 (multiplicity 1)
O 0.0009 0.1411 0.8177 (multiplicity 1)
O 0.0009 0.3819 0.9276 (multiplicity 1)
O 0.0043 0.6291 0.5814 (multiplicity 1)
O 0.0077 0.8806 0.6801 (multiplicity 1)
O 0.0108 0.8618 0.1830 (multiplicity 1)
O 0.0232 0.6349 0.0845 (multiplicity 1)
O 0.4529 0.3835 0.2036 (multiplicity 1)
O 0.4961 0.1324 0.5528 (multiplicity 1)
O 0.4968 0.6143 0.8086 (multiplicity 1)
O 0.5027 0.1380 0.0606 (multiplicity 1)
O 0.5094 0.3952 0.7025 (multiplicity 1)
O 0.5091 0.8829 0.4448 (multiplicity 1)
O 0.5104 0.8633 0.9551 (multiplicity 1)
O 0.5448 0.6277 0.3057 (multiplicity 1)
O 0.9883 0.3816 0.4310 (multiplicity 1)
O 0.9969 0.1298 0.3245 (multiplicity 1)

Spin magnetization, respectively: 0.417; 0.750; 0.450; 0.300; 0.143; 0.312 μB/atom.
Formation enthalpy at 0 K, respectively: -1992; -1957; -2766; -2789; -2497; -1826 meV per atom.
E_tot, respectively: -141.163; -93.682; -579.369; -290.959; -378.782; -186.115 eV for the cell shown.